Entry 1:
{
  "formula": "UTi2O6",
  "functional": "PBE",
  "state": "optimized geometry",
  "cell": [[1.883, 4.999, 0.000], [-1.883, 4.999, 0.000], [0.000, 3.368, 6.036]],
  "species": ["U", "Ti", "Ti", "O", "O", "O", "O", "O", "O"],
  "fractional_positions": [[0.000, 0.000, 0.000], [0.176, 0.176, 0.390], [0.824, 0.824, 0.610], [0.720, 0.720, 0.404], [0.280, 0.280, 0.596], [0.353, 0.353, 0.101], [0.975, 0.975, 0.699], [0.025, 0.025, 0.301], [0.647, 0.647, 0.899]],
  "sg": "No. 12"
}

=====

Entry 2:
{
  "formula": "Y2Ti2O7",
  "functional": "PBE",
  "state": "optimized geometry",
  "cell": [[7.366, 0.000, 0.000], [0.106, 7.397, 0.000], [0.210, 0.717, 10.671]],
  "species": ["Y", "Y", "Y", "Y", "Y", "Y", "Y", "Y", "Ti", "Ti", "Ti", "Ti", "Ti", "Ti", "Ti", "Ti", "O", "O", "O", "O", "O", "O", "O", "O", "O", "O", "O", "O", "O", "O", "O", "O", "O", "O", "O", "O", "O", "O", "O", "O", "O", "O", "O", "O"],
  "fractional_positions": [[0.009, 0.996, 0.005], [0.722, 0.256, 0.754], [0.985, 0.030, 0.511], [0.291, 0.216, 0.242], [0.226, 0.762, 0.763], [0.476, 0.993, 0.528], [0.515, 0.500, 0.006], [0.802, 0.698, 0.246], [0.521, 0.945, 0.019], [0.702, 0.731, 0.725], [0.757, 0.212, 0.245], [0.015, 0.476, 0.986], [0.978, 0.538, 0.566], [0.237, 0.724, 0.326], [0.261, 0.280, 0.716], [0.539, 0.503, 0.464], [0.296, 0.036, 0.071], [0.602, 0.108, 0.359], [0.816, 0.995, 0.160], [0.724, 0.996, 0.647], [0.727, 0.533, 0.606], [0.991, 0.199, 0.321], [0.026, 0.275, 0.875], [0.043, 0.722, 0.930], [0.972, 0.285, 0.601], [0.197, 0.516, 0.660], [0.220, 0.424, 0.071], [0.244, 0.959, 0.395], [0.220, 0.034, 0.667], [0.421, 0.308, 0.838], [0.459, 0.290, 0.591], [0.448, 0.794, 0.898], [0.543, 0.741, 0.401], [0.552, 0.269, 0.138], [0.560, 0.738, 0.125], [0.729, 0.542, 0.851], [0.714, 0.440, 0.358], [0.844, 0.459, 0.112], [0.111, 0.751, 0.191], [0.005, 0.690, 0.419], [0.955, 0.752, 0.661], [0.320, 0.477, 0.364], [0.478, 0.738, 0.652], [0.718, 0.043, 0.916]],
  "sg": "No. 1"
}

=====

Entry 3:
{
  "formula": "Y2Ti2O7",
  "functional": "PBE",
  "state": "optimized geometry",
  "cell": [[-3.997, 5.574, 2.203], [-0.182, 6.062, -3.888], [-5.977, 1.793, -3.600]],
  "species": ["Y", "Y", "Y", "Y", "Ti", "Ti", "Ti", "Ti", "O", "O", "O", "O", "O", "O", "O", "O", "O", "O", "O", "O", "O", "O"],
  "fractional_positions": [[0.125, 0.125, 0.625], [0.125, 0.625, 0.125], [0.625, 0.125, 0.125], [0.125, 0.125, 0.125], [0.625, 0.625, 0.125], [0.625, 0.125, 0.625], [0.125, 0.625, 0.625], [0.625, 0.625, 0.625], [0.250, 0.250, 0.250], [0.000, 0.000, 0.000], [0.545, 0.955, 0.545], [0.295, 0.705, 0.295], [0.545, 0.545, 0.955], [0.955, 0.545, 0.545], [0.545, 0.955, 0.955], [0.955, 0.955, 0.545], [0.955, 0.545, 0.955], [0.705, 0.295, 0.295], [0.295, 0.705, 0.705], [0.705, 0.295, 0.705], [0.295, 0.295, 0.705], [0.705, 0.705, 0.295]],
  "sg": "No. 227"
}

=====

Entry 4:
{
  "formula": "Y2TiO5",
  "functional": "PBE",
  "state": "optimized geometry",
  "cell": [[3.719, 0.000, 0.000], [0.000, 10.447, 0.000], [0.000, 0.000, 11.351]],
  "species": ["Y", "Y", "Y", "Y", "Y", "Y", "Y", "Y", "Ti", "Ti", "Ti", "Ti", "O", "O", "O", "O", "O", "O", "O", "O", "O", "O", "O", "O", "O", "O", "O", "O", "O", "O", "O", "O"],
  "fractional_positions": [[0.250, 0.136, 0.444], [0.750, 0.864, 0.556], [0.250, 0.636, 0.056], [0.750, 0.364, 0.944], [0.250, 0.115, 0.777], [0.750, 0.885, 0.223], [0.250, 0.615, 0.723], [0.750, 0.385, 0.277], [0.250, 0.174, 0.120], [0.750, 0.826, 0.880], [0.250, 0.674, 0.380], [0.750, 0.326, 0.620], [0.250, 0.264, 0.617], [0.750, 0.736, 0.383], [0.250, 0.764, 0.883], [0.750, 0.236, 0.117], [0.250, 0.507, 0.345], [0.750, 0.493, 0.655], [0.250, 0.007, 0.155], [0.750, 0.993, 0.845], [0.250, 0.257, 0.271], [0.750, 0.743, 0.729], [0.250, 0.757, 0.229], [0.750, 0.243, 0.771], [0.750, 0.006, 0.395], [0.250, 0.994, 0.605], [0.750, 0.506, 0.105], [0.250, 0.494, 0.895], [0.750, 0.276, 0.458], [0.250, 0.724, 0.542], [0.750, 0.776, 0.042], [0.250, 0.224, 0.958]],
  "sg": "No. 62"
}

=====

Entry 5:
{
  "formula": "YTiO3",
  "functional": "PBE",
  "state": "optimized geometry",
  "cell": [[-3.469, 0.543, 0.274], [1.490, -2.732, 1.649], [1.854, 6.909, 9.772]],
  "species": ["Y", "Y", "Ti", "Ti", "O", "O", "O", "O", "O", "O"],
  "fractional_positions": [[0.000, 0.000, 0.500], [0.000, 0.000, 0.000], [0.667, 0.333, 0.750], [0.333, 0.667, 0.250], [0.333, 0.667, 0.414], [0.667, 0.333, 0.914], [0.667, 0.333, 0.586], [0.333, 0.667, 0.086], [0.000, 0.000, 0.250], [0.000, 0.000, 0.750]],
  "sg": "No. 194"
}

=====

Entry 6:
{
  "formula": "Y2Ti2O7",
  "functional": "PBE",
  "state": "optimized geometry",
  "cell": [[-2.066, -7.109, -0.696], [4.317, -1.798, 5.559], [-7.836, 1.575, 7.175]],
  "species": ["Y", "Y", "Y", "Y", "Y", "Y", "Y", "Y", "Ti", "Ti", "Ti", "Ti", "Ti", "Ti", "Ti", "Ti", "O", "O", "O", "O", "O", "O", "O", "O", "O", "O", "O", "O", "O", "O", "O", "O", "O", "O", "O", "O", "O", "O", "O", "O", "O", "O", "O", "O"],
  "fractional_positions": [[0.940, 0.000, 0.000], [0.238, 0.246, 0.228], [0.084, 0.000, 0.500], [0.238, 0.754, 0.772], [0.705, 0.786, 0.263], [0.024, 0.500, 0.500], [0.463, 0.500, 0.000], [0.705, 0.214, 0.737], [0.904, 0.500, 0.000], [0.766, 0.232, 0.250], [0.224, 0.249, 0.771], [0.495, 0.000, 0.000], [0.506, 0.000, 0.500], [0.766, 0.768, 0.750], [0.224, 0.751, 0.229], [0.618, 0.500, 0.500], [0.960, 0.711, 0.887], [0.156, 0.285, 0.608], [0.036, 0.102, 0.816], [0.013, 0.250, 0.366], [0.551, 0.344, 0.227], [0.333, 0.946, 0.617], [0.443, 0.844, 0.181], [0.701, 0.048, 0.119], [0.333, 0.054, 0.383], [0.535, 0.735, 0.455], [0.349, 0.809, 0.958], [0.013, 0.750, 0.634], [0.036, 0.898, 0.184], [0.226, 0.537, 0.144], [0.156, 0.715, 0.392], [0.741, 0.627, 0.084], [0.780, 0.490, 0.628], [0.226, 0.463, 0.856], [0.741, 0.373, 0.916], [0.349, 0.191, 0.042], [0.535, 0.265, 0.545], [0.443, 0.156, 0.819], [0.701, 0.952, 0.881], [0.726, 0.961, 0.631], [0.726, 0.039, 0.369], [0.551, 0.656, 0.773], [0.780, 0.510, 0.372], [0.960, 0.289, 0.113]],
  "sg": "No. 3"
}

=====

Entry 7:
{
  "formula": "YTiO3",
  "functional": "PBE",
  "state": "optimized geometry",
  "cell": [[5.348, 0.000, 0.000], [0.000, 5.718, 0.000], [0.000, 0.000, 7.702]],
  "species": ["Y", "Y", "Y", "Y", "Ti", "Ti", "Ti", "Ti", "O", "O", "O", "O", "O", "O", "O", "O", "O", "O", "O", "O"],
  "fractional_positions": [[0.022, 0.928, 0.750], [0.522, 0.572, 0.250], [0.478, 0.428, 0.750], [0.978, 0.072, 0.250], [0.000, 0.500, 0.500], [0.500, 0.000, 0.500], [0.500, 0.000, 0.000], [0.000, 0.500, 0.000], [0.690, 0.302, 0.442], [0.190, 0.198, 0.558], [0.810, 0.802, 0.058], [0.310, 0.698, 0.942], [0.310, 0.698, 0.558], [0.810, 0.802, 0.442], [0.190, 0.198, 0.942], [0.690, 0.302, 0.058], [0.121, 0.455, 0.250], [0.621, 0.045, 0.750], [0.379, 0.955, 0.250], [0.879, 0.545, 0.750]],
  "sg": "No. 62"
}

=====

Entry 8:
{
  "formula": "Y2Ti3O9",
  "functional": "PBE",
  "state": "optimized geometry",
  "cell": [[5.306, 0.000, 0.000], [0.000, 7.680, 0.000], [0.000, 0.000, 16.553]],
  "species": ["Y", "Y", "Y", "Y", "Y", "Y", "Y", "Y", "Ti", "Ti", "Ti", "Ti", "Ti", "Ti", "Ti", "Ti", "Ti", "Ti", "Ti", "Ti", "O", "O", "O", "O", "O", "O", "O", "O", "O", "O", "O", "O", "O", "O", "O", "O", "O", "O", "O", "O", "O", "O", "O", "O", "O", "O", "O", "O", "O", "O", "O", "O", "O", "O", "O", "O"],
  "fractional_positions": [[0.990, 0.250, 0.982], [0.979, 0.250, 0.315], [0.479, 0.750, 0.185], [0.490, 0.750, 0.518], [0.521, 0.250, 0.815], [0.510, 0.250, 0.482], [0.021, 0.750, 0.685], [0.010, 0.750, 0.018], [0.008, 0.509, 0.833], [0.992, 0.491, 0.167], [0.000, 0.500, 0.500], [0.508, 0.491, 0.667], [0.500, 0.500, 0.000], [0.492, 0.509, 0.333], [0.508, 0.009, 0.667], [0.500, 0.000, 0.000], [0.492, 0.991, 0.333], [0.008, 0.991, 0.833], [0.992, 0.009, 0.167], [0.000, 0.000, 0.500], [0.274, 0.537, 0.758], [0.290, 0.565, 0.096], [0.313, 0.534, 0.438], [0.774, 0.463, 0.742], [0.813, 0.466, 0.062], [0.790, 0.435, 0.404], [0.187, 0.966, 0.938], [0.226, 0.963, 0.258], [0.210, 0.935, 0.596], [0.710, 0.065, 0.904], [0.726, 0.037, 0.242], [0.687, 0.034, 0.562], [0.710, 0.435, 0.904], [0.726, 0.463, 0.242], [0.687, 0.466, 0.562], [0.187, 0.534, 0.938], [0.226, 0.537, 0.258], [0.210, 0.565, 0.596], [0.774, 0.037, 0.742], [0.813, 0.034, 0.062], [0.790, 0.065, 0.404], [0.274, 0.963, 0.758], [0.290, 0.935, 0.096], [0.313, 0.966, 0.438], [0.936, 0.750, 0.828], [0.893, 0.750, 0.155], [0.911, 0.750, 0.494], [0.436, 0.250, 0.672], [0.411, 0.250, 0.006], [0.393, 0.250, 0.345], [0.589, 0.750, 0.994], [0.564, 0.750, 0.328], [0.607, 0.750, 0.655], [0.107, 0.250, 0.845], [0.064, 0.250, 0.172], [0.089, 0.250, 0.506]],
  "sg": "No. 62"
}

=====

Entry 9:
{
  "formula": "YTiO3",
  "functional": "PBE",
  "state": "optimized geometry",
  "cell": [[-2.675, -2.825, 0.139], [2.404, -2.371, -1.937], [1.491, -1.245, 3.374]],
  "species": ["Y", "Ti", "O", "O", "O"],
  "fractional_positions": [[0.000, 0.000, 0.000], [0.500, 0.500, 0.500], [0.500, 0.500, 0.000], [0.500, 0.000, 0.500], [0.000, 0.500, 0.500]],
  "sg": "No. 221"
}

=====

Entry 10:
{
  "formula": "Y2Ti2O7",
  "functional": "PBE",
  "state": "optimized geometry",
  "cell": [[1.652, -0.913, 7.007], [3.662, -5.854, 2.229], [22.291, 9.163, -0.098]],
  "species": ["Y", "Y", "Y", "Y", "Y", "Y", "Y", "Y", "Y", "Y", "Y", "Y", "Y", "Y", "Y", "Y", "Ti", "Ti", "Ti", "Ti", "Ti", "Ti", "Ti", "Ti", "Ti", "Ti", "Ti", "Ti", "Ti", "Ti", "Ti", "Ti", "O", "O", "O", "O", "O", "O", "O", "O", "O", "O", "O", "O", "O", "O", "O", "O", "O", "O", "O", "O", "O", "O", "O", "O", "O", "O", "O", "O", "O", "O", "O", "O", "O", "O", "O", "O", "O", "O", "O", "O", "O", "O", "O", "O", "O", "O", "O", "O", "O", "O", "O", "O", "O", "O", "O", "O"],
  "fractional_positions": [[0.736, 0.240, 0.246], [0.240, 0.736, 0.246], [0.237, 0.237, 0.256], [0.853, 0.853, 0.375], [0.500, 0.000, 0.500], [0.147, 0.147, 0.625], [0.000, 0.500, 0.500], [0.760, 0.264, 0.754], [0.500, 0.500, 0.500], [0.264, 0.760, 0.754], [0.000, 0.500, 0.000], [0.763, 0.763, 0.744], [0.500, 0.000, 0.000], [0.127, 0.127, 0.125], [0.000, 0.000, 0.000], [0.873, 0.873, 0.875], [0.367, 0.367, 0.377], [0.370, 0.865, 0.374], [0.000, 0.000, 0.500], [0.865, 0.370, 0.374], [0.633, 0.633, 0.623], [0.630, 0.135, 0.626], [0.377, 0.377, 0.876], [0.254, 0.254, 0.753], [0.135, 0.630, 0.626], [0.877, 0.377, 0.876], [0.623, 0.623, 0.124], [0.500, 0.500, 0.000], [0.377, 0.877, 0.876], [0.123, 0.623, 0.124], [0.623, 0.123, 0.124], [0.746, 0.746, 0.247], [0.390, 0.390, 0.288], [0.068, 0.481, 0.392], [0.890, 0.890, 0.284], [0.883, 0.477, 0.293], [0.644, 0.644, 0.537], [0.481, 0.068, 0.392], [0.477, 0.883, 0.293], [0.659, 0.659, 0.395], [0.125, 0.125, 0.350], [0.310, 0.732, 0.640], [0.284, 0.863, 0.456], [0.138, 0.138, 0.534], [0.268, 0.690, 0.360], [0.137, 0.716, 0.544], [0.909, 0.909, 0.783], [0.863, 0.284, 0.456], [0.732, 0.310, 0.640], [0.716, 0.137, 0.544], [0.690, 0.268, 0.360], [0.875, 0.875, 0.650], [0.862, 0.862, 0.466], [0.473, 0.066, 0.895], [0.341, 0.341, 0.605], [0.523, 0.117, 0.707], [0.374, 0.374, 0.791], [0.519, 0.932, 0.608], [0.373, 0.962, 0.795], [0.356, 0.356, 0.463], [0.156, 0.156, 0.031], [0.117, 0.523, 0.707], [0.066, 0.473, 0.895], [0.064, 0.064, 0.896], [0.962, 0.373, 0.795], [0.932, 0.519, 0.608], [0.110, 0.110, 0.716], [0.723, 0.317, 0.145], [0.683, 0.683, 0.858], [0.787, 0.379, 0.958], [0.621, 0.621, 0.043], [0.683, 0.277, 0.855], [0.621, 0.213, 0.042], [0.610, 0.610, 0.712], [0.379, 0.787, 0.958], [0.317, 0.723, 0.145], [0.213, 0.621, 0.042], [0.317, 0.317, 0.142], [0.379, 0.379, 0.957], [0.277, 0.683, 0.855], [0.038, 0.627, 0.205], [0.936, 0.936, 0.104], [0.844, 0.844, 0.969], [0.934, 0.527, 0.105], [0.627, 0.038, 0.205], [0.527, 0.934, 0.105], [0.626, 0.626, 0.209], [0.091, 0.091, 0.217]],
  "sg": "No. 12"
}

=====

Entry 11:
{
  "formula": "YTiO3",
  "functional": "PBE",
  "state": "optimized geometry",
  "cell": [[3.047, -5.277, 0.000], [3.047, 5.277, 0.000], [0.000, 0.000, 12.019]],
  "species": ["Y", "Y", "Y", "Y", "Y", "Y", "Ti", "Ti", "Ti", "Ti", "Ti", "Ti", "O", "O", "O", "O", "O", "O", "O", "O", "O", "O", "O", "O", "O", "O", "O", "O", "O", "O"],
  "fractional_positions": [[0.667, 0.333, 0.232], [0.333, 0.667, 0.732], [0.667, 0.333, 0.732], [0.333, 0.667, 0.232], [0.000, 0.000, 0.779], [0.000, 0.000, 0.279], [0.666, 0.000, 0.501], [0.666, 0.666, 0.001], [0.000, 0.334, 0.001], [0.000, 0.666, 0.501], [0.334, 0.334, 0.501], [0.334, 0.000, 0.001], [0.667, 0.333, 0.021], [0.333, 0.667, 0.521], [0.667, 0.333, 0.521], [0.333, 0.667, 0.021], [0.000, 0.000, 0.976], [0.000, 0.000, 0.476], [0.361, 0.000, 0.838], [0.361, 0.361, 0.338], [0.000, 0.639, 0.338], [0.000, 0.361, 0.838], [0.639, 0.639, 0.838], [0.639, 0.000, 0.338], [0.305, 0.000, 0.166], [0.305, 0.305, 0.666], [0.000, 0.695, 0.666], [0.000, 0.305, 0.166], [0.695, 0.695, 0.166], [0.695, 0.000, 0.666]],
  "sg": "No. 185"
}

=====

no.,ΔE_f (eV/atom),VASP energy (eV/atom)
1,-3.575,-9.424
2,-3.617,-8.940
3,-3.753,-9.076
4,-3.860,-9.126
5,-3.591,-9.020
6,-3.602,-8.925
7,-3.611,-9.040
8,-3.661,-9.016
9,-3.367,-8.796
10,-3.721,-9.044
11,-3.614,-9.043